[1]
Entry from Materials Project: a relaxed structure of TmGePd (GGA-PBE).

Cell: 11.243 11.243 11.243 Å, 157.37 140.57 45.94°
Atoms (fractional coordinates):
1 Tm 0.467 0.000 0.467
2 Tm 0.132 0.667 0.465
3 Tm 0.798 0.333 0.465
4 Tm 0.048 0.500 0.548
5 Tm 0.376 0.834 0.543
6 Tm 0.709 0.166 0.543
7 Ge 0.437 0.593 0.844
8 Ge 0.251 0.407 0.844
9 Ge 0.924 0.763 0.161
10 Ge 0.398 0.237 0.161
11 Ge 0.781 0.935 0.847
12 Ge 0.912 0.065 0.847
13 Pd 0.751 0.573 0.178
14 Pd 0.606 0.427 0.178
15 Pd 0.563 0.731 0.832
16 Pd 0.100 0.269 0.832
17 Pd 0.070 0.895 0.175
18 Pd 0.280 0.105 0.175

Values from the calculation:
Space group: No. 44
DFT formation energy, eV per atom: -0.979
Final energy, eV/atom: -5.7387

---

[2]
Entry from Materials Project: a relaxed structure of SiO2 (GGA-PBE).

Cell: 13.976 13.977 41.253 Å, 90.00 90.00 120.00°
Atoms (fractional coordinates):
1 Si 0.721 0.051 0.069
2 Si 0.388 0.385 0.402
3 Si 0.055 0.718 0.735
4 Si 0.923 0.659 0.069
5 Si 0.589 0.992 0.402
6 Si 0.256 0.325 0.735
7 Si 0.315 0.253 0.069
8 Si 0.982 0.586 0.402
9 Si 0.649 0.919 0.735
10 Si 0.945 0.270 0.067
11 Si 0.613 0.604 0.401
12 Si 0.279 0.937 0.734
13 Si 0.311 0.028 0.067
14 Si 0.977 0.362 0.401
15 Si 0.644 0.695 0.734
16 Si 0.704 0.663 0.067
17 Si 0.370 0.997 0.401
18 Si 0.037 0.331 0.734
19 Si 0.252 0.924 0.929
20 Si 0.918 0.257 0.262
21 Si 0.585 0.590 0.595
22 Si 0.050 0.316 0.929
23 Si 0.717 0.650 0.262
24 Si 0.384 0.983 0.595
25 Si 0.658 0.723 0.929
26 Si 0.324 0.056 0.262
27 Si 0.991 0.389 0.595
28 Si 0.028 0.705 0.930
29 Si 0.694 0.038 0.263
30 Si 0.361 0.371 0.597
31 Si 0.663 0.947 0.930
32 Si 0.330 0.280 0.263
33 Si 0.996 0.614 0.597
34 Si 0.270 0.311 0.930
35 Si 0.936 0.645 0.263
36 Si 0.603 0.978 0.597
37 Si 0.119 0.246 0.107
38 Si 0.786 0.579 0.441
39 Si 0.453 0.913 0.774
40 Si 0.728 0.862 0.107
41 Si 0.395 0.196 0.441
42 Si 0.062 0.529 0.774
43 Si 0.112 0.855 0.107
44 Si 0.779 0.188 0.441
45 Si 0.445 0.521 0.774
46 Si 0.854 0.729 0.890
47 Si 0.520 0.063 0.224
48 Si 0.187 0.396 0.557
49 Si 0.245 0.113 0.890
50 Si 0.912 0.446 0.223
51 Si 0.578 0.780 0.557
52 Si 0.861 0.120 0.890
53 Si 0.528 0.454 0.223
54 Si 0.195 0.787 0.557
55 Si 0.186 0.390 0.170
56 Si 0.853 0.723 0.504
57 Si 0.520 0.056 0.837
58 Si 0.585 0.785 0.170
59 Si 0.251 0.119 0.504
60 Si 0.918 0.452 0.837
61 Si 0.189 0.788 0.170
62 Si 0.855 0.121 0.504
63 Si 0.522 0.455 0.837
64 Si 0.787 0.586 0.827
65 Si 0.453 0.919 0.160
66 Si 0.120 0.252 0.494
67 Si 0.389 0.190 0.827
68 Si 0.055 0.523 0.160
69 Si 0.722 0.856 0.494
70 Si 0.784 0.187 0.827
71 Si 0.451 0.521 0.160
72 Si 0.118 0.854 0.494
73 Si 0.106 0.228 0.231
74 Si 0.773 0.562 0.564
75 Si 0.440 0.895 0.898
76 Si 0.746 0.867 0.231
77 Si 0.413 0.200 0.564
78 Si 0.079 0.533 0.898
79 Si 0.108 0.868 0.231
80 Si 0.774 0.201 0.564
81 Si 0.441 0.534 0.898
82 Si 0.867 0.747 0.767
83 Si 0.533 0.080 0.100
84 Si 0.200 0.414 0.433
85 Si 0.227 0.109 0.767
86 Si 0.894 0.442 0.100
87 Si 0.561 0.775 0.433
88 Si 0.866 0.107 0.767
89 Si 0.533 0.441 0.100
90 Si 0.199 0.774 0.433
91 Si 0.208 0.980 0.998
92 Si 0.875 0.313 0.332
93 Si 0.541 0.646 0.665
94 Si 0.994 0.216 0.998
95 Si 0.661 0.550 0.332
96 Si 0.328 0.884 0.665
97 Si 0.758 0.766 0.998
98 Si 0.424 0.100 0.332
99 Si 0.091 0.433 0.665
100 Si 0.979 0.759 0.999
101 Si 0.645 0.092 0.332
102 Si 0.312 0.425 0.666
103 Si 0.765 0.995 0.999
104 Si 0.432 0.329 0.332
105 Si 0.099 0.662 0.666
106 Si 0.216 0.209 0.999
107 Si 0.883 0.542 0.332
108 Si 0.549 0.876 0.666
109 Si 0.987 0.988 0.199
110 Si 0.653 0.321 0.532
111 Si 0.320 0.654 0.865
112 Si 0.987 0.988 0.799
113 Si 0.653 0.321 0.132
114 Si 0.320 0.654 0.465
115 Si 0.986 0.987 0.120
116 Si 0.653 0.321 0.454
117 Si 0.320 0.654 0.787
118 Si 0.987 0.988 0.877
119 Si 0.653 0.321 0.210
120 Si 0.320 0.654 0.544
121 O 0.689 0.940 0.089
122 O 0.357 0.275 0.423
123 O 0.023 0.608 0.756
124 O 0.033 0.737 0.090
125 O 0.700 0.071 0.423
126 O 0.366 0.404 0.756
127 O 0.237 0.284 0.090
128 O 0.904 0.618 0.423
129 O 0.570 0.951 0.756
130 O 0.056 0.299 0.088
131 O 0.723 0.633 0.422
132 O 0.389 0.966 0.755
133 O 0.229 0.918 0.088
134 O 0.896 0.252 0.422
135 O 0.562 0.585 0.755
136 O 0.675 0.744 0.088
137 O 0.342 0.078 0.422
138 O 0.008 0.412 0.755
139 O 0.283 0.034 0.908
140 O 0.950 0.367 0.241
141 O 0.617 0.701 0.574
142 O 0.940 0.238 0.908
143 O 0.607 0.571 0.241
144 O 0.274 0.905 0.574
145 O 0.736 0.691 0.908
146 O 0.403 0.024 0.241
147 O 0.070 0.358 0.574
148 O 0.918 0.676 0.909
149 O 0.584 0.009 0.243
150 O 0.251 0.343 0.576
151 O 0.744 0.057 0.909
152 O 0.411 0.390 0.243
153 O 0.078 0.723 0.576
154 O 0.298 0.230 0.909
155 O 0.965 0.563 0.243
156 O 0.632 0.897 0.576
157 O 0.635 0.092 0.078
158 O 0.302 0.426 0.411
159 O 0.969 0.759 0.745
160 O 0.882 0.531 0.078
161 O 0.548 0.865 0.411
162 O 0.215 0.198 0.745
163 O 0.443 0.339 0.078
164 O 0.109 0.672 0.411
165 O 0.776 0.005 0.745
166 O 0.912 0.363 0.075
167 O 0.580 0.697 0.408
168 O 0.246 0.031 0.741
169 O 0.437 0.061 0.075
170 O 0.103 0.394 0.408
171 O 0.770 0.728 0.741
172 O 0.611 0.537 0.075
173 O 0.277 0.871 0.408
174 O 0.944 0.204 0.741
175 O 0.338 0.883 0.919
176 O 0.005 0.216 0.253
177 O 0.671 0.550 0.586
178 O 0.091 0.443 0.919
179 O 0.758 0.777 0.253
180 O 0.425 0.110 0.586
181 O 0.531 0.636 0.919
182 O 0.197 0.970 0.253
183 O 0.864 0.303 0.586
184 O 0.061 0.612 0.923
185 O 0.727 0.945 0.256
186 O 0.394 0.278 0.589
187 O 0.537 0.914 0.923
188 O 0.203 0.247 0.256
189 O 0.870 0.581 0.589
190 O 0.363 0.438 0.923
191 O 0.030 0.771 0.256
192 O 0.696 0.104 0.589
193 O 0.846 0.147 0.078
194 O 0.513 0.482 0.411
195 O 0.180 0.815 0.744
196 O 0.826 0.686 0.078
197 O 0.493 0.020 0.411
198 O 0.159 0.354 0.744
199 O 0.287 0.128 0.078
200 O 0.954 0.461 0.411
201 O 0.621 0.794 0.744
202 O 0.127 0.827 0.920
203 O 0.793 0.160 0.253
204 O 0.460 0.494 0.586
205 O 0.147 0.288 0.920
206 O 0.814 0.622 0.253
207 O 0.481 0.955 0.586
208 O 0.686 0.847 0.920
209 O 0.353 0.181 0.253
210 O 0.019 0.514 0.586
211 O 0.713 0.025 0.030
212 O 0.380 0.359 0.363
213 O 0.047 0.692 0.697
214 O 0.950 0.677 0.030
215 O 0.615 0.010 0.363
216 O 0.282 0.343 0.697
217 O 0.297 0.261 0.030
218 O 0.965 0.594 0.363
219 O 0.631 0.927 0.697
220 O 0.968 0.273 0.029
221 O 0.636 0.608 0.362
222 O 0.303 0.941 0.695
223 O 0.291 0.006 0.029
224 O 0.957 0.338 0.362
225 O 0.624 0.672 0.695
226 O 0.700 0.683 0.029
227 O 0.367 0.017 0.362
228 O 0.033 0.350 0.695
229 O 0.260 0.950 0.967
230 O 0.926 0.283 0.301
231 O 0.593 0.616 0.634
232 O 0.024 0.298 0.967
233 O 0.692 0.632 0.301
234 O 0.358 0.965 0.634
235 O 0.676 0.714 0.967
236 O 0.342 0.048 0.301
237 O 0.009 0.381 0.634
238 O 0.005 0.701 0.969
239 O 0.671 0.034 0.302
240 O 0.338 0.368 0.635
241 O 0.682 0.969 0.969
242 O 0.349 0.304 0.302
243 O 0.016 0.637 0.635
244 O 0.273 0.292 0.969
245 O 0.940 0.625 0.302
246 O 0.607 0.958 0.635
247 O 0.141 0.289 0.145
248 O 0.809 0.622 0.478
249 O 0.475 0.955 0.811
250 O 0.686 0.841 0.145
251 O 0.352 0.176 0.478
252 O 0.019 0.509 0.811
253 O 0.133 0.834 0.145
254 O 0.799 0.166 0.478
255 O 0.466 0.499 0.811
256 O 0.833 0.687 0.853
257 O 0.498 0.020 0.186
258 O 0.165 0.353 0.520
259 O 0.288 0.134 0.853
260 O 0.954 0.466 0.186
261 O 0.621 0.800 0.520
262 O 0.840 0.142 0.853
263 O 0.508 0.476 0.186
264 O 0.174 0.809 0.520
265 O 0.044 0.113 0.107
266 O 0.711 0.446 0.440
267 O 0.377 0.779 0.773
268 O 0.861 0.920 0.107
269 O 0.528 0.253 0.440
270 O 0.195 0.587 0.773
271 O 0.054 0.930 0.107
272 O 0.721 0.263 0.440
273 O 0.388 0.597 0.773
274 O 0.930 0.862 0.891
275 O 0.596 0.196 0.224
276 O 0.263 0.529 0.557
277 O 0.112 0.056 0.891
278 O 0.779 0.389 0.224
279 O 0.445 0.722 0.557
280 O 0.918 0.045 0.891
281 O 0.586 0.379 0.224
282 O 0.252 0.712 0.557
283 O 0.150 0.334 0.206
284 O 0.817 0.667 0.540
285 O 0.484 0.000 0.873
286 O 0.641 0.805 0.206
287 O 0.307 0.139 0.540
288 O 0.974 0.472 0.873
289 O 0.169 0.824 0.206
290 O 0.836 0.157 0.540
291 O 0.502 0.490 0.873
292 O 0.823 0.642 0.791
293 O 0.489 0.975 0.124
294 O 0.157 0.308 0.458
295 O 0.333 0.170 0.791
296 O 0.999 0.503 0.124
297 O 0.666 0.837 0.458
298 O 0.804 0.151 0.791
299 O 0.472 0.485 0.124
300 O 0.138 0.818 0.458
301 O 0.133 0.467 0.163
302 O 0.799 0.800 0.496
303 O 0.465 0.133 0.830
304 O 0.507 0.654 0.163
305 O 0.175 0.988 0.496
306 O 0.842 0.321 0.830
307 O 0.320 0.841 0.163
308 O 0.654 0.509 0.830
309 O 0.508 0.843 0.168
310 O 0.174 0.175 0.501
311 O 0.841 0.508 0.834
312 O 0.320 0.466 0.168
313 O 0.653 0.134 0.834
314 O 0.131 0.654 0.168
315 O 0.799 0.988 0.501
316 O 0.466 0.321 0.834
317 O 0.987 0.800 0.501
318 O 0.987 0.176 0.496
319 O 0.067 0.114 0.211
320 O 0.734 0.447 0.544
321 O 0.400 0.781 0.878
322 O 0.860 0.942 0.211
323 O 0.527 0.275 0.544
324 O 0.194 0.608 0.878
325 O 0.032 0.907 0.211
326 O 0.699 0.240 0.544
327 O 0.366 0.574 0.878
328 O 0.906 0.861 0.786
329 O 0.573 0.195 0.120
330 O 0.239 0.528 0.453
331 O 0.113 0.033 0.786
332 O 0.780 0.367 0.120
333 O 0.446 0.700 0.453
334 O 0.941 0.068 0.786
335 O 0.607 0.401 0.120
336 O 0.274 0.735 0.453
337 O 0.087 0.878 0.008
338 O 0.753 0.211 0.341
339 O 0.420 0.544 0.674
340 O 0.096 0.198 0.007
341 O 0.764 0.531 0.341
342 O 0.430 0.864 0.674
343 O 0.777 0.887 0.008
344 O 0.443 0.221 0.341
345 O 0.110 0.555 0.674
346 O 0.887 0.097 0.990
347 O 0.554 0.431 0.323
348 O 0.220 0.765 0.657
349 O 0.877 0.778 0.990
350 O 0.543 0.111 0.323
351 O 0.210 0.444 0.657
352 O 0.197 0.088 0.990
353 O 0.863 0.421 0.323
354 O 0.530 0.754 0.657
355 O 0.987 0.987 0.160
356 O 0.653 0.321 0.493
357 O 0.320 0.654 0.826
358 O 0.987 0.988 0.838
359 O 0.653 0.321 0.171
360 O 0.320 0.654 0.504

Values from the calculation:
Space group: No. 1
DFT formation energy, eV per atom: -3.258
Final energy, eV/atom: -7.9070

---

[3]
Entry from Materials Project: a relaxed structure of B8O (GGA-PBE).

Cell: 5.319 7.359 10.272 Å, 87.60 90.00 90.00°
Atoms (fractional coordinates):
1 B 0.416 0.083 0.210
2 B 0.469 0.676 0.301
3 B 0.485 0.809 0.441
4 B 0.919 0.581 0.457
5 B 0.581 0.581 0.457
6 B 0.419 0.419 0.543
7 B 0.750 0.749 0.539
8 B 0.969 0.324 0.699
9 B 0.531 0.324 0.699
10 B 0.420 0.088 0.714
11 B 0.250 0.257 0.796
12 B 0.490 0.685 0.802
13 B 0.750 0.531 0.801
14 B 0.750 0.950 0.937
15 B 0.488 0.808 0.943
16 B 0.915 0.576 0.954
17 B 0.585 0.576 0.954
18 B 0.415 0.424 0.046
19 B 0.512 0.192 0.057
20 B 0.988 0.192 0.057
21 B 0.250 0.050 0.063
22 B 0.750 0.744 0.039
23 B 0.750 0.743 0.204
24 B 0.990 0.315 0.198
25 B 0.510 0.315 0.198
26 B 0.084 0.083 0.210
27 B 0.580 0.912 0.286
28 B 0.920 0.912 0.286
29 B 0.031 0.676 0.301
30 B 0.250 0.252 0.296
31 B 0.750 0.546 0.313
32 B 0.750 0.950 0.433
33 B 0.015 0.809 0.441
34 B 0.081 0.419 0.543
35 B 0.515 0.191 0.559
36 B 0.985 0.191 0.559
37 B 0.250 0.050 0.567
38 B 0.250 0.454 0.687
39 B 0.750 0.748 0.704
40 B 0.080 0.088 0.714
41 B 0.584 0.917 0.790
42 B 0.916 0.917 0.790
43 B 0.010 0.685 0.802
44 B 0.250 0.256 0.961
45 B 0.012 0.808 0.943
46 B 0.085 0.424 0.046
47 B 0.250 0.469 0.199
48 B 0.250 0.251 0.461
49 O 0.250 0.872 0.503
50 O 0.250 0.633 0.743
51 O 0.750 0.131 0.997
52 O 0.250 0.869 0.003
53 O 0.750 0.367 0.257
54 O 0.750 0.128 0.497

Values from the calculation:
Space group: No. 11
DFT formation energy, eV per atom: -0.604
Final energy, eV/atom: -7.0148
Offset from the most stable computed form, eV/f.u.: 0.00